Ca2PrO4 | GGA-PBE | optimized geometry

Results
As for the energy relative to the elements: -3.12 eV per atom. The total energy comes out at -6.81 eV/atom. The space group is Pbam. Its total energy after the MP2020 corrections is -7.21 eV per atom. Its volume is 216 Å³ per cell. Its mass density is 4.392 g cm⁻³.

abc: 3.6209 5.9648 9.9800
angles: 90.00 90.00 90.00
With the nearest neighbours (Å) after each atom.
Fractional positions:
Pr: 0.0000 0.0000 0.0000  6 O 2.35-2.38
Pr: 0.0000 0.5000 0.5000  6 O 2.35-2.38
O: 0.0000 0.6628 0.7142  1 Pr 2.35, 4 Ca 2.49-2.50
O: 0.5000 0.2483 0.5387  2 Ca 2.28-2.41, 2 Pr 2.38
O: 0.0000 0.8372 0.2142  1 Pr 2.35, 4 Ca 2.49-2.50
O: 0.0000 0.1628 0.7858  1 Pr 2.35, 4 Ca 2.49-2.50
O: 0.5000 0.2517 0.0387  2 Ca 2.28-2.41, 2 Pr 2.38
O: 0.0000 0.3372 0.2858  1 Pr 2.35, 4 Ca 2.49-2.50
O: 0.5000 0.7483 0.9613  2 Ca 2.28-2.41, 2 Pr 2.38
O: 0.5000 0.7517 0.4613  2 Ca 2.28-2.41, 2 Pr 2.38
Ca: 0.5000 0.0594 0.3258  6 O 2.28-2.50
Ca: 0.5000 0.4406 0.8258  6 O 2.28-2.50
Ca: 0.5000 0.9406 0.6742  6 O 2.28-2.50
Ca: 0.5000 0.5594 0.1742  6 O 2.28-2.50